1.
The following is a r²SCAN calculation of an optimized crystal structure of Lu2B6Rh, from the Materials Project.

The space group is Pbam (No. 55) and the conventional cell measures 9.039, 11.357 and 3.574 Å, with angles of 90.00, 90.00 and 90.00 degrees. The inequivalent atoms are Lu at (0.056, 0.126, 0.000), Lu at (0.179, 0.414, 0.000), B at (0.018, 0.287, 0.500), B at (0.053, 0.565, 0.500), B at (0.108, 0.970, 0.500), B at (0.133, 0.817, 0.500), B at (0.205, 0.236, 0.500), B at (0.250, 0.079, 0.500) and Rh at (0.140, 0.679, 0.000).

2.
The following is a r²SCAN calculation of an optimized crystal structure of Ho2Ga8Co, from the Materials Project.

The space group is P4/mmm (No. 123) and the conventional cell measures 4.178, 4.178 and 10.999 Å, with angles of 90.00, 90.00 and 90.00 degrees. The inequivalent atoms are Ho at (0.000, 0.000, 0.194), Ga at (0.000, 0.500, 0.000), Ga at (0.000, 0.500, 0.384), Ga at (0.500, 0.500, 0.194) and Co at (0.000, 0.000, 0.500).

3.
The following is a r²SCAN calculation of an optimized crystal structure of TlPd3, from the Materials Project.

The space group is P4/mmm (No. 123) and the conventional cell measures 4.048, 4.048 and 4.065 Å, with angles of 90.00, 90.00 and 90.00 degrees. The inequivalent atoms are Tl at (0.000, 0.000, 0.000), Pd at (0.000, 0.500, 0.500) and Pd at (0.500, 0.500, 0.000).

4.
The following is a r²SCAN calculation of an optimized crystal structure of YAl3, from the Materials Project.

The space group is Pm-3m (No. 221) and the conventional cell measures 4.240, 4.240 and 4.240 Å, with angles of 90.00, 90.00 and 90.00 degrees. The inequivalent atoms are Y at (0.000, 0.000, 0.000) and Al at (0.000, 0.500, 0.500).

5.
The following is a r²SCAN calculation of an optimized crystal structure of CeGa2Pd2, from the Materials Project.

The space group is P4/nmm (No. 129, origin choice 2) and the conventional cell measures 4.382, 4.382 and 10.016 Å, with angles of 90.00, 90.00 and 90.00 degrees. The inequivalent atoms are Ce at (0.250, 0.250, 0.249), Ga at (0.250, 0.250, 0.625), Ga at (0.250, 0.750, 0.000), Pd at (0.250, 0.250, 0.871) and Pd at (0.250, 0.750, 0.500).

6.
The following is a r²SCAN calculation of an optimized crystal structure of VPO5, from the Materials Project.

For the energy relative to the lowest polymorph listed for this composition, the calculation gives 0.17 eV/f.u.

The space group is C2/m (No. 12) and the conventional cell measures 8.771, 6.198 and 6.205 Å, with angles of 90.00, 105.16 and 90.00 degrees. The inequivalent atoms are V at (0.184, 0.000, 0.221), P at (0.246, 0.000, 0.752), O at (0.124, 0.000, 0.892), O at (0.130, 0.500, 0.725), O at (0.148, 0.301, 0.197) and O at (0.153, 0.000, 0.505).

7.
The following is a r²SCAN calculation of an optimized crystal structure of Cu3Te2, from the Materials Project.

The space group is P4mm (No. 99) and the conventional cell measures 4.049, 4.049 and 5.963 Å, with angles of 90.00, 90.00 and 90.00 degrees. The inequivalent atoms are Cu at (0.000, 0.000, 0.000), Cu at (0.000, 0.500, 0.721), Te at (0.000, 0.000, 0.449) and Te at (0.500, 0.500, 0.018).

8.
The following is a r²SCAN calculation of an optimized crystal structure of Hf4NbGe4, from the Materials Project.

The space group is Pnma (No. 62) and the conventional cell measures 6.903, 13.410 and 7.025 Å, with angles of 90.00, 90.00 and 90.00 degrees. The inequivalent atoms are Hf at (0.013, 0.095, 0.177), Hf at (0.152, 0.624, 0.330), Nb at (0.175, 0.250, 0.502), Ge at (0.047, 0.250, 0.891), Ge at (0.186, 0.750, 0.647) and Ge at (0.191, 0.039, 0.533).

| no. | ΔH_f (0 K) (meV/atom) | E_tot (eV per atom) |
| --- | --- | --- |
| 1 | -758 | -16.800 |
| 2 | -495 | -15.998 |
| 3 | -201 | -30.717 |
| 4 | -440 | -10.567 |
| 5 | -837 | -20.766 |
| 6 | -2402 | -9.967 |
| 7 | -46 | -16.721 |
| 8 | -772 | -29.753 |